# 1
A relaxed structure of NaYTiSiS2O12, computed with PBE.

Cell and atoms, written as POSCAR:
```
NaYTiSiS2O12
1.0
8.987 0.000 0.000
-4.494 7.818 -0.073
0.000 -0.216 23.360
Ti O Y Si Na S
6 72 6 6 6 12
Cartesian
8.774 -0.061 19.917
0.214 0.047 8.237
0.055 5.085 12.074
-0.055 5.193 0.394
4.452 2.299 4.323
4.536 2.191 16.003
0.808 6.491 17.557
5.431 0.904 9.917
3.368 3.903 14.786
-1.045 3.843 13.530
3.494 3.957 21.534
1.045 3.951 1.850
-0.880 3.539 5.958
1.106 1.230 18.731
5.009 3.995 17.370
-0.825 6.691 20.182
3.554 1.008 12.335
1.637 0.188 7.167
1.040 6.503 10.915
6.223 2.711 14.827
3.588 6.095 13.681
-0.878 1.587 4.628
-1.832 5.068 8.486
0.880 3.431 17.638
1.747 5.299 22.595
6.065 2.278 5.727
6.146 2.445 21.448
-0.605 3.549 22.694
5.494 4.065 9.854
0.878 1.479 16.308
-2.915 7.249 21.303
3.978 4.103 5.690
-1.834 5.105 17.595
0.958 1.532 2.074
5.163 6.036 18.695
0.490 1.315 9.495
6.347 2.421 12.398
1.834 5.213 5.915
-0.476 6.423 13.293
-0.808 6.599 5.877
3.499 6.220 4.594
3.469 6.370 21.250
1.832 4.960 20.166
-1.569 4.910 1.754
5.400 6.203 2.001
2.923 2.169 17.407
2.728 7.566 16.114
8.029 1.424 13.754
-0.490 1.207 21.175
-3.469 6.478 9.570
-1.747 5.407 10.915
5.434 1.117 0.655
2.640 2.529 0.718
5.335 4.262 0.684
-2.823 7.645 13.644
3.825 6.144 7.015
2.764 2.819 3.147
-1.040 6.394 22.595
-3.499 6.111 16.274
3.922 0.891 14.950
3.556 0.795 21.597
2.823 7.753 1.964
-2.728 7.674 4.434
-0.929 3.530 20.045
5.066 1.000 3.270
0.825 6.799 8.502
3.653 4.154 12.364
0.476 6.531 1.613
3.536 1.429 5.612
2.915 7.357 9.623
2.841 2.553 9.768
1.569 4.802 13.434
5.620 4.011 3.106
0.929 3.638 8.365
7.882 1.339 7.051
5.452 1.321 17.292
7.351 0.080 18.847
0.605 3.657 11.014
-4.474 7.649 15.030
4.559 2.353 22.861
4.428 2.461 11.181
0.035 5.157 7.262
4.474 7.757 3.350
-0.035 5.049 18.942
2.660 -0.015 5.792
5.744 0.175 1.883
-1.266 2.729 21.361
1.266 2.837 9.681
3.243 0.067 13.563
6.327 -0.123 17.472
4.670 2.494 19.434
8.855 0.011 0.003
0.062 5.219 15.503
0.132 -0.097 11.683
-0.062 5.327 3.823
4.317 2.603 7.754
1.862 2.693 1.943
-2.616 5.235 9.707
-1.438 7.232 21.399
2.616 5.127 21.387
5.910 4.822 1.910
1.438 7.340 9.719
7.564 2.177 5.852
5.688 5.316 17.495
7.126 2.585 13.623
1.424 2.068 17.532
3.078 4.714 13.590
3.299 5.424 5.815
```

Computed properties:
- energy (eV per atom) = -7.17
- symmetry = Cc (9)

=====

# 2
A relaxed structure of Na4Y2Ti2Si3S3O24, computed with PBE.

Cell and atoms, written as POSCAR:
```
Na4Y2Ti2Si3S3O24
1.0
-2.988 -6.201 -6.016
-0.921 -1.588 8.928
-20.545 10.277 -0.420
O S Na Y Si Ti
72 9 12 6 9 6
Cartesian
-11.042 1.921 1.880
-6.074 -4.755 -0.545
-17.260 6.996 6.660
-6.055 0.732 3.015
-17.442 0.511 3.539
-19.607 5.260 5.349
-10.251 0.581 0.030
-19.399 8.107 -1.562
-15.173 -0.553 1.819
-11.704 -1.564 -1.001
-4.267 1.551 1.575
-13.694 2.309 5.323
-21.708 6.502 5.448
-9.266 2.926 7.100
-17.517 3.158 -3.016
-10.730 -0.700 -4.901
-14.633 3.265 -2.022
-15.186 5.675 6.780
-6.520 -0.670 -1.803
-21.362 4.823 0.069
-18.431 7.568 3.225
-13.738 -0.132 -2.467
-5.432 -0.366 7.591
-12.252 2.167 -1.536
-2.755 -4.185 -2.786
-17.841 3.208 3.852
-18.978 3.156 -5.110
-9.381 -3.249 2.060
-7.018 -4.234 2.526
-8.888 0.775 2.050
-7.532 -2.457 0.486
-4.196 -4.441 -4.759
-15.507 1.544 0.625
-19.835 4.761 2.329
-17.193 4.142 -0.166
-2.438 -0.664 0.277
-20.513 6.055 -2.155
-2.152 -3.073 0.003
-4.396 -2.134 0.165
-7.892 -3.436 -2.388
-12.749 4.912 -1.057
-15.113 -0.115 -4.744
-6.857 -0.362 5.339
-12.857 4.264 3.073
-10.695 2.743 5.029
-8.267 1.854 4.719
-12.108 0.041 4.265
-9.369 -3.407 -4.261
-7.482 -1.541 3.057
-9.232 2.714 0.541
-17.601 6.735 0.191
-7.142 1.848 -1.291
-21.919 3.706 -2.383
-3.966 -3.934 4.512
-16.965 5.234 2.250
-22.365 5.666 2.310
-4.837 -2.922 -2.963
-14.003 1.447 2.482
-22.075 3.049 1.958
-3.056 -2.161 2.114
-2.742 -1.158 5.029
-5.495 -6.337 1.510
-16.323 0.593 -2.458
-9.794 -0.715 4.542
-20.708 8.399 2.936
-15.054 5.858 0.498
-3.583 -5.670 -0.292
-19.067 9.042 1.347
-18.439 1.397 -0.764
-13.405 0.305 0.389
-16.642 5.533 4.826
-10.525 0.309 -2.712
-20.740 5.677 6.211
-9.857 1.486 1.139
-16.109 6.438 5.912
-3.002 -1.975 0.628
-14.544 0.689 1.319
-3.713 -3.493 -3.700
-11.258 -1.059 4.734
-19.261 8.695 2.784
-5.396 1.981 2.457
-18.569 0.923 -3.128
-19.886 6.706 0.362
-15.088 0.492 4.538
-9.172 -1.128 -1.010
-8.715 -4.479 -0.262
-19.148 3.979 -1.503
-3.867 -7.673 2.856
-11.350 3.600 8.510
-4.237 -4.420 2.171
-5.123 -1.294 3.963
-15.117 3.842 3.872
-9.581 2.338 -1.923
-16.362 2.436 -1.269
-12.238 2.329 3.728
-11.144 -4.105 2.744
-1.967 -2.918 4.049
-6.119 -2.659 -1.141
-21.358 1.034 2.492
-13.072 3.595 -2.035
-9.210 3.108 5.475
-21.418 4.493 1.760
-16.709 5.460 0.585
-7.864 -2.772 2.039
-15.307 -0.447 -3.110
-7.013 -0.738 6.971
-5.288 -6.078 -0.143
-18.380 1.657 4.304
-12.394 0.253 -1.326
-7.039 -6.043 2.625
-7.976 0.168 3.906
-22.540 5.251 -1.280
-13.407 6.448 -0.075
-18.316 4.877 3.434
```

Computed properties:
- energy (eV per atom) = -7.12
- symmetry = P1 (1)